The following is a DFT calculation (GGA-PBE) of TaTiSe4 after structural relaxation.

Unit cell a=3.5119 b=6.1185 c=6.5010 alpha=89.82 beta=90.00 gamma=90.00
Sites, in units of the cell vectors:
Se (0.0000, 0.6633, 0.7556)
Se (0.5000, 0.1692, 0.7507)
Se (0.0000, 0.3367, 0.2444)
Se (0.5000, 0.8308, 0.2493)
Ti (0.5000, 0.5000, 0.0000)
Ta (0.0000, 0.0000, 0.0000)

Properties
Formation enthalpy at 0 K   -1.2755 eV/atom
Total energy after the MP2020 corrections   -6.8983 eV per atom



The following is a DFT calculation (GGA-PBE) of YTmZn2 after structural relaxation.

Unit cell a=5.0336 b=5.0336 c=5.0336 alpha=60.00 beta=60.00 gamma=60.00
Sites, in units of the cell vectors:
Zn (0.2500, 0.2500, 0.2500)
Zn (0.7500, 0.7500, 0.7500)
Tm (0.5000, 0.5000, 0.5000)
Y (0.0000, 0.0000, 0.0000)

Properties
Formation enthalpy at 0 K   -0.3602 eV/atom



The following is a DFT calculation (GGA-PBE) of Co2SbAs after structural relaxation.

Unit cell a=3.7262 b=3.7267 c=5.1286 alpha=90.00 beta=90.00 gamma=60.00
Sites, in units of the cell vectors:
Sb (0.6667, 0.6667, 0.2500)
Co (0.0000, 0.0000, 0.9863)
Co (0.0000, 0.0000, 0.5137)
As (0.3333, 0.3333, 0.7500)

Properties
Total moment   0.00 μB per cell
Formation enthalpy at 0 K   -0.1775 eV/atom



The following is a DFT calculation (GGA-PBE) of Na2Tl2B10O17 after structural relaxation.

Unit cell a=11.5413 b=11.5413 c=11.0883 alpha=75.72 beta=75.72 gamma=32.86
Sites, in units of the cell vectors:
O (0.0776, 0.2535, 0.6608)
O (0.9115, 0.2564, 0.1815)
O (0.6883, 0.4696, 0.3581)
O (0.9650, 0.3991, 0.0304)
O (0.2982, 0.3538, 0.1147)
O (0.9483, 0.3271, 0.4728)
O (0.0350, 0.6009, 0.9696)
O (0.7465, 0.9224, 0.8392)
O (0.5908, 0.0514, 0.2471)
O (0.6462, 0.7018, 0.3853)
O (0.0885, 0.7436, 0.8185)
O (0.9224, 0.7465, 0.3392)
O (0.5925, 0.4075, 0.2500)
O (0.6729, 0.0517, 0.0272)
O (0.3991, 0.9650, 0.5304)
O (0.0514, 0.5908, 0.7471)
O (0.4696, 0.6883, 0.8581)
O (0.6009, 0.0350, 0.4696)
O (0.2535, 0.0776, 0.1608)
O (0.7018, 0.6462, 0.8853)
O (0.2564, 0.9115, 0.6815)
O (0.3889, 0.2415, 0.9132)
O (0.3271, 0.9483, 0.9728)
O (0.7585, 0.6111, 0.5868)
O (0.6111, 0.7585, 0.0868)
O (0.9486, 0.4092, 0.2529)
O (0.7436, 0.0885, 0.3185)
O (0.2415, 0.3889, 0.4132)
O (0.4075, 0.5925, 0.7500)
O (0.5304, 0.3117, 0.1419)
O (0.0517, 0.6729, 0.5272)
O (0.3117, 0.5304, 0.6419)
O (0.3538, 0.2982, 0.6147)
O (0.4092, 0.9486, 0.7529)
Tl (0.1249, 0.7385, 0.0783)
Tl (0.2615, 0.8751, 0.4217)
Tl (0.8751, 0.2615, 0.9217)
Tl (0.7385, 0.1249, 0.5783)
B (0.0173, 0.2882, 0.1590)
B (0.4740, 0.8120, 0.8646)
B (0.7346, 0.3750, 0.2640)
B (0.3909, 0.9331, 0.0718)
B (0.3984, 0.2393, 0.4991)
B (0.2882, 0.0173, 0.6590)
B (0.8120, 0.4740, 0.3646)
B (0.9331, 0.3909, 0.5718)
B (0.2654, 0.6250, 0.7360)
B (0.1880, 0.5260, 0.6354)
B (0.0669, 0.6091, 0.4282)
B (0.6091, 0.0669, 0.9282)
B (0.9827, 0.7118, 0.8410)
B (0.2393, 0.3984, 0.9991)
B (0.3750, 0.7346, 0.7640)
B (0.6250, 0.2654, 0.2360)
B (0.6016, 0.7607, 0.5009)
B (0.7607, 0.6016, 0.0009)
B (0.7118, 0.9827, 0.3410)
B (0.5260, 0.1880, 0.1354)
Na (0.7139, 0.8196, 0.6847)
Na (0.1804, 0.2861, 0.8153)
Na (0.2861, 0.1804, 0.3153)
Na (0.8196, 0.7139, 0.1847)

Properties
Total moment   0.01 μB per cell
Formation enthalpy at 0 K   -2.6588 eV/atom
Total energy after the MP2020 corrections   -7.7646 eV per atom



The following is a DFT calculation (GGA-PBE) of IrS2Cl3O7 after structural relaxation.

Unit cell a=9.6381 b=9.6722 c=9.9323 alpha=83.93 beta=90.00 gamma=90.00
Sites, in units of the cell vectors:
S (0.2500, 0.8526, 0.2416)
S (0.7500, 0.5452, 0.6405)
S (0.7500, 0.1474, 0.7584)
S (0.2500, 0.4548, 0.3595)
O (0.7500, 0.8977, 0.0531)
O (0.3791, 0.5284, 0.3396)
O (0.6694, 0.2101, 0.8837)
O (0.1209, 0.5284, 0.3396)
O (0.2500, 0.1023, 0.9469)
O (0.7500, 0.9950, 0.7688)
O (0.2500, 0.0050, 0.2312)
O (0.7500, 0.6918, 0.5975)
O (0.8791, 0.4716, 0.6604)
O (0.6209, 0.4716, 0.6604)
O (0.3306, 0.7899, 0.1163)
O (0.1694, 0.7899, 0.1163)
O (0.2500, 0.3082, 0.4025)
O (0.8306, 0.2101, 0.8837)
Cl (0.0180, 0.2126, 0.1404)
Cl (0.5180, 0.7874, 0.8596)
Cl (0.4820, 0.2126, 0.1404)
Cl (0.2500, 0.4189, 0.0066)
Cl (0.9820, 0.7874, 0.8596)
Cl (0.7500, 0.5811, 0.9934)
Ir (0.7500, 0.8052, 0.9078)
Ir (0.2500, 0.1948, 0.0922)

Properties
Energy above the most stable polymorph in this dataset   4.85 eV per formula unit
Total moment   4.00 μB per cell
Formation enthalpy at 0 K   -0.7294 eV/atom
Total energy after the MP2020 corrections   -5.1365 eV per atom



The following is a DFT calculation (GGA-PBE) of In2Cu2O5 after structural relaxation.

Unit cell a=3.3485 b=10.7328 c=12.4623 alpha=90.00 beta=90.00 gamma=90.00
Sites, in units of the cell vectors:
O (0.7789, 0.4301, 0.7616)
O (0.8243, 0.3751, 0.1642)
O (0.2097, 0.1783, 0.0673)
O (0.3243, 0.1249, 0.6642)
O (0.7830, 0.6715, 0.8581)
O (0.2903, 0.6783, 0.0673)
O (0.7097, 0.3217, 0.5673)
O (0.7716, 0.5793, 0.4706)
O (0.2211, 0.5699, 0.2616)
O (0.7170, 0.1715, 0.8581)
O (0.7211, 0.9301, 0.7616)
O (0.2830, 0.8285, 0.3581)
O (0.7903, 0.8217, 0.5673)
O (0.2170, 0.3285, 0.3581)
O (0.2284, 0.4207, 0.9706)
O (0.2789, 0.0699, 0.2616)
O (0.1757, 0.6249, 0.6642)
O (0.2716, 0.9207, 0.9706)
O (0.6757, 0.8751, 0.1642)
O (0.7284, 0.0793, 0.4706)
In (0.2157, 0.2129, 0.5002)
In (0.7843, 0.7871, 0.0002)
In (0.7157, 0.2871, 0.0002)
In (0.2815, 0.5380, 0.8295)
In (0.7815, 0.9620, 0.3295)
In (0.2185, 0.0380, 0.8295)
In (0.7185, 0.4620, 0.3295)
In (0.2843, 0.7129, 0.5002)
Cu (0.6587, 0.2603, 0.7180)
Cu (0.3285, 0.0082, 0.1111)
Cu (0.1587, 0.2397, 0.2180)
Cu (0.1715, 0.5082, 0.1111)
Cu (0.3413, 0.7397, 0.2180)
Cu (0.6715, 0.9918, 0.6111)
Cu (0.8413, 0.7603, 0.7180)
Cu (0.8285, 0.4918, 0.6111)

Properties
Total moment   8.00 μB per cell
Formation enthalpy at 0 K   -1.4829 eV/atom
Total energy after the MP2020 corrections   -5.7542 eV per atom



The following is a DFT calculation (GGA-PBE) of Cr5S8 after structural relaxation.

Unit cell a=6.8062 b=11.0828 c=6.7298 alpha=91.23 beta=120.38 gamma=90.00
Sites, in units of the cell vectors:
S (0.3376, 0.3606, 0.6751)
S (0.6598, 0.6272, 0.8351)
S (0.1754, 0.6272, 0.8351)
S (0.6677, 0.1236, 0.3355)
S (0.3393, 0.3726, 0.1710)
S (0.1734, 0.6188, 0.3468)
S (0.8292, 0.3818, 0.6584)
S (0.6710, 0.1252, 0.8323)
S (0.3261, 0.8733, 0.1662)
S (0.8317, 0.3726, 0.1710)
S (0.1612, 0.1398, 0.3225)
S (0.3263, 0.8810, 0.6527)
S (0.8389, 0.8602, 0.6777)
S (0.8401, 0.8733, 0.1662)
S (0.1613, 0.1252, 0.8323)
S (0.6602, 0.6395, 0.3205)
Cr (0.4824, 0.7498, 0.4999)
Cr (0.5065, 0.2436, 0.0130)
Cr (0.0134, 0.7359, 0.0267)
Cr (0.5237, 0.2493, 0.5062)
Cr (0.9873, 0.2612, 0.9746)
Cr (0.0175, 0.7498, 0.4999)
Cr (0.4872, 0.7647, 0.9743)
Cr (0.9993, 0.9991, 0.9986)
Cr (0.5009, 0.4951, 0.0019)
Cr (0.9824, 0.2493, 0.5062)

Properties
Energy above the most stable polymorph in this dataset   0.24 eV per formula unit
Total moment   1.97 μB per cell
Formation enthalpy at 0 K   -0.9612 eV/atom
Total energy after the MP2020 corrections   -7.2194 eV per atom



The following is a DFT calculation (GGA-PBE) of Ca2Ga2SiH2O8 after structural relaxation.

Unit cell a=7.8015 b=7.8200 c=7.8249 alpha=109.43 beta=109.02 gamma=109.66
Sites, in units of the cell vectors:
O (0.2899, 0.5436, 0.5481)
O (0.4687, 0.9988, 0.7497)
O (0.6976, 0.9990, 0.4224)
O (0.7483, 0.4558, 0.0049)
O (0.2864, 0.7339, 0.2709)
O (0.2663, 0.2555, 0.7223)
O (0.5534, 0.2658, 0.5377)
O (0.7653, 0.7674, 0.7713)
O (0.4414, 0.7243, 0.0119)
O (0.9988, 0.2317, 0.0065)
O (0.9675, 0.4127, 0.6986)
O (0.5528, 0.5846, 0.2852)
O (0.0095, 0.7500, 0.4613)
O (0.7191, 0.2766, 0.2879)
O (0.0009, 0.9921, 0.2267)
O (0.2253, 0.0006, 0.9915)
Si (0.4914, 0.7548, 0.2447)
Si (0.7363, 0.2438, 0.4887)
Ca (0.2773, 0.2776, 0.2773)
Ca (0.7216, 0.9980, 0.0091)
Ca (0.9928, 0.0021, 0.7195)
Ca (0.9978, 0.7151, 0.9895)
Ga (0.2593, 0.7542, 0.5077)
Ga (0.7574, 0.5160, 0.2570)
Ga (0.2429, 0.4848, 0.7428)
Ga (0.5073, 0.2467, 0.7561)
H (0.3381, 0.0009, 0.9644)
H (0.0117, 0.9721, 0.3450)
H (0.9663, 0.3401, 0.0016)
H (0.6249, 0.6594, 0.6580)

Properties
Energy above the most stable polymorph in this dataset   0.20 eV per formula unit
Total moment   0.00 μB per cell
Formation enthalpy at 0 K   -2.6424 eV/atom
Total energy after the MP2020 corrections   -6.7666 eV per atom



The following is a DFT calculation (GGA-PBE) of Na3BiF6 after structural relaxation.

Unit cell a=6.3335 b=6.3335 c=6.3335 alpha=60.00 beta=60.00 gamma=60.00
Sites, in units of the cell vectors:
F (0.7486, 0.2514, 0.2514)
F (0.7486, 0.2514, 0.7486)
F (0.2514, 0.7486, 0.7486)
F (0.7486, 0.7486, 0.2514)
F (0.2514, 0.2514, 0.7486)
F (0.2514, 0.7486, 0.2514)
Na (0.7500, 0.7500, 0.7500)
Na (0.5000, 0.5000, 0.5000)
Na (0.2500, 0.2500, 0.2500)
Bi (0.0000, 0.0000, 0.0000)

Properties
Energy above the most stable polymorph in this dataset   0.57 eV per formula unit
Total moment   0.00 μB per cell
Formation enthalpy at 0 K   -2.7186 eV/atom
Total energy after the MP2020 corrections   -4.6531 eV per atom



The following is a DFT calculation (GGA-PBE) of CsEuBr3 after structural relaxation.

Unit cell a=8.3194 b=8.3936 c=11.9247 alpha=90.00 beta=90.00 gamma=90.00
Sites, in units of the cell vectors:
Br (0.7952, 0.2058, 0.4711)
Br (0.5561, 0.9912, 0.7500)
Br (0.2952, 0.2942, 0.9711)
Br (0.7048, 0.7058, 0.4711)
Br (0.7952, 0.2058, 0.0289)
Br (0.2048, 0.7942, 0.9711)
Br (0.9439, 0.4912, 0.7500)
Br (0.7048, 0.7058, 0.0289)
Br (0.4439, 0.0088, 0.2500)
Br (0.0561, 0.5088, 0.2500)
Br (0.2952, 0.2942, 0.5289)
Br (0.2048, 0.7942, 0.5289)
Cs (0.9928, 0.9654, 0.2500)
Cs (0.4928, 0.5346, 0.7500)
Cs (0.0072, 0.0346, 0.7500)
Cs (0.5072, 0.4654, 0.2500)
Eu (0.5000, 0.0000, 0.5000)
Eu (0.0000, 0.5000, 0.0000)
Eu (0.0000, 0.5000, 0.5000)
Eu (0.5000, 0.0000, 0.0000)

Properties
Formation enthalpy at 0 K   -2.3006 eV/atom
Total energy after the MP2020 corrections   -5.5133 eV per atom



The following is a DFT calculation (GGA-PBE) of DyCuS2 after structural relaxation.

Unit cell a=3.9583 b=6.2536 c=13.4779 alpha=90.00 beta=90.00 gamma=90.00
Sites, in units of the cell vectors:
S (0.7500, 0.2525, 0.0383)
S (0.2500, 0.7475, 0.9617)
S (0.7500, 0.7632, 0.7050)
S (0.2500, 0.2368, 0.2950)
S (0.7500, 0.7368, 0.2050)
S (0.2500, 0.2632, 0.7950)
S (0.2500, 0.7525, 0.4617)
S (0.7500, 0.2475, 0.5383)
Dy (0.7500, 0.5023, 0.8669)
Dy (0.2500, 0.0023, 0.6331)
Dy (0.2500, 0.4977, 0.1331)
Dy (0.7500, 0.9977, 0.3669)
Cu (0.2500, 0.3753, 0.4529)
Cu (0.2500, 0.1247, 0.9529)
Cu (0.7500, 0.8753, 0.0471)
Cu (0.7500, 0.6247, 0.5471)

Properties
Formation enthalpy at 0 K   -1.6237 eV/atom
Total energy after the MP2020 corrections   -5.8684 eV per atom



The following is a DFT calculation (GGA-PBE) of ZrGa6Fe6 after structural relaxation.

Unit cell a=6.5151 b=6.5151 c=6.5151 alpha=134.97 beta=99.44 gamma=97.43
Sites, in units of the cell vectors:
Fe (0.5000, 0.0000, 0.0000)
Fe (0.5000, 0.5000, 0.5000)
Fe (0.2451, 0.5000, 0.7451)
Fe (0.0000, 0.5000, 0.0000)
Fe (0.7549, 0.5000, 0.2549)
Fe (0.0000, 0.0000, 0.5000)
Ga (0.6683, 0.0000, 0.6683)
Ga (0.1737, 0.6737, 0.5000)
Ga (0.3317, 0.0000, 0.3317)
Ga (0.3408, 0.3408, 0.0000)
Ga (0.6592, 0.6592, 0.0000)
Ga (0.8263, 0.3263, 0.5000)
Zr (0.0000, 0.0000, 0.0000)

Properties
Total moment   10.83 μB per cell
Formation enthalpy at 0 K   -0.3072 eV/atom



The following is a DFT calculation (GGA-PBE) of Ho2Ge2O7 after structural relaxation.

Unit cell a=7.0710 b=7.0710 c=7.0710 alpha=60.00 beta=60.00 gamma=60.00
Sites, in units of the cell vectors:
Ge (0.1250, 0.1250, 0.6250)
Ge (0.1250, 0.1250, 0.1250)
Ge (0.6250, 0.1250, 0.1250)
Ge (0.1250, 0.6250, 0.1250)
Ho (0.1250, 0.6250, 0.6250)
Ho (0.6250, 0.6250, 0.1250)
Ho (0.6250, 0.1250, 0.6250)
Ho (0.6250, 0.6250, 0.6250)
O (0.5000, 0.5000, 0.5000)
O (0.4538, 0.4538, 0.0462)
O (0.7962, 0.7962, 0.2038)
O (0.7962, 0.2038, 0.7962)
O (0.0462, 0.0462, 0.4538)
O (0.2038, 0.7962, 0.2038)
O (0.4538, 0.0462, 0.0462)
O (0.4538, 0.0462, 0.4538)
O (0.7500, 0.7500, 0.7500)
O (0.2038, 0.7962, 0.7962)
O (0.7962, 0.2038, 0.2038)
O (0.0462, 0.4538, 0.4538)
O (0.0462, 0.4538, 0.0462)
O (0.2038, 0.2038, 0.7962)

Properties
Energy above the most stable polymorph in this dataset   0.10 eV per formula unit
Formation enthalpy at 0 K   -3.0595 eV/atom
Total energy after the MP2020 corrections   -7.8819 eV per atom